Density functional theory data (PBE) for Na2LiTi3AlP6O24 after structural relaxation.

POSCAR file:
```
Na2LiTi3AlP6O24
1.0
8.5646 0.0000 0.0000
4.2567 7.4445 0.0000
4.2385 2.4560 7.2819
Na Li Ti Al P O
2 1 3 1 6 24
Direct
0.0000 0.0000 0.0000
0.4862 0.4857 0.5015
0.8429 0.6402 0.2467
0.1393 0.1350 0.5716
0.3536 0.3458 0.9319
0.8494 0.8488 0.4416
0.6364 0.6350 0.0658
0.0266 0.7383 0.7638
0.2512 0.5275 0.2505
0.4590 0.0199 0.7602
0.5304 0.9497 0.2510
0.7454 0.4547 0.7546
0.9542 0.2464 0.2501
0.0536 0.9133 0.7438
0.0671 0.7055 0.2621
0.1268 0.2758 0.0784
0.2137 0.5671 0.7662
0.2145 0.3573 0.4248
0.2757 0.0468 0.7418
0.2820 0.4925 0.0792
0.3613 0.9838 0.4237
0.4209 0.5566 0.2352
0.4371 0.2075 0.7651
0.4933 0.8530 0.9292
0.4989 0.1214 0.0802
0.5644 0.7618 0.2373
0.5734 0.4291 0.7646
0.6272 0.9899 0.5822
0.7117 0.4907 0.9236
0.7203 0.9175 0.2637
0.7766 0.4276 0.2384
0.7835 0.6187 0.5724
0.8617 0.7018 0.9389
0.9192 0.2701 0.7403
0.9252 0.0748 0.2651
0.9891 0.2089 0.4245
0.9919 0.7754 0.5882
```

Summary:
energy above the most stable polymorph in this dataset	0.000	eV/atom
calculated formation energy	-288.51	kJ/mol of atoms
SG	P1, No. 1

Density functional theory data (PBE) for TbPrO4 after structural relaxation.

POSCAR file:
```
TbPrO4
1.0
-2.8088 2.8088 5.5241
2.8088 -2.8088 5.5241
2.8088 2.8088 -5.5241
Tb Pr O
2 2 8
Direct
0.3750 0.6250 0.7500
0.6250 0.3750 0.2500
0.1250 0.8750 0.2500
0.8750 0.1250 0.7500
0.0000 0.2620 0.2620
0.0000 0.7380 0.7380
0.2620 0.0000 0.7620
0.2620 0.5000 0.2620
0.5000 0.2620 0.7620
0.5000 0.7380 0.2380
0.7380 0.0000 0.2380
0.7380 0.5000 0.7380
```

Summary:
calculated formation energy	-298.83	kJ/mol of atoms
SG	I4_1/amd, No. 141

Density functional theory data (PBE) for CeAgAs2 after structural relaxation.

POSCAR file:
```
CeAgAs2
1.0
2.8897 -2.8886 0.0000
2.8897 2.8886 0.0000
0.0000 0.0000 20.4477
Ce Ag As
4 4 8
Direct
0.2431 0.7569 0.8886
0.2569 0.7431 0.3886
0.7431 0.2569 0.6114
0.7569 0.2431 0.1114
0.2381 0.2619 0.7500
0.2619 0.2381 0.2500
0.7381 0.7619 0.7500
0.7619 0.7381 0.2500
0.2413 0.7587 0.6565
0.2471 0.2471 0.5000
0.2529 0.2529 0.0000
0.2587 0.7413 0.1565
0.7413 0.2587 0.8435
0.7471 0.7471 0.0000
0.7529 0.7529 0.5000
0.7587 0.2413 0.3435
```

Summary:
calculated formation energy	-75.79	kJ/mol of atoms
SG	Cmce, No. 64

Density functional theory data (PBE) for K3RhCl6O after structural relaxation.

POSCAR file:
```
K3RhCl6O
1.0
12.6013 0.0000 0.0000
0.0000 15.5652 0.0000
0.0000 0.0000 12.4262
K Rh Cl O
24 8 48 8
Direct
0.0339 0.1598 0.0265
0.0339 0.8402 0.5265
0.1089 0.4254 0.6161
0.1089 0.5746 0.1161
0.2346 0.3355 0.2645
0.2346 0.6645 0.7645
0.2654 0.1645 0.7645
0.2654 0.8355 0.2645
0.3911 0.0746 0.1161
0.3911 0.9254 0.6161
0.4661 0.3402 0.5265
0.4661 0.6598 0.0265
0.5339 0.3402 0.9735
0.5339 0.6598 0.4735
0.6089 0.0746 0.3839
0.6089 0.9254 0.8839
0.7346 0.1645 0.7355
0.7346 0.8355 0.2355
0.7654 0.3355 0.2355
0.7654 0.6645 0.7355
0.8911 0.4254 0.8839
0.8911 0.5746 0.3839
0.9661 0.1598 0.4735
0.9661 0.8402 0.9735
0.2154 0.3713 0.9421
0.2154 0.6287 0.4421
0.2846 0.1287 0.4421
0.2846 0.8713 0.9421
0.7154 0.1287 0.0579
0.7154 0.8713 0.5579
0.7846 0.3713 0.5579
0.7846 0.6287 0.0579
0.0791 0.3713 0.0768
0.0791 0.6287 0.5768
0.0977 0.2920 0.8328
0.0977 0.7080 0.3328
0.1414 0.4964 0.8663
0.1414 0.5036 0.3663
0.1546 0.1326 0.3043
0.1546 0.8674 0.8043
0.1746 0.0461 0.5553
0.1746 0.9539 0.0553
0.2141 0.2565 0.5189
0.2141 0.7435 0.0189
0.2859 0.2435 0.0189
0.2859 0.7565 0.5189
0.3254 0.4539 0.0553
0.3254 0.5461 0.5553
0.3454 0.3674 0.8043
0.3454 0.6326 0.3043
0.3586 0.0036 0.3663
0.3586 0.9964 0.8663
0.4023 0.2080 0.3328
0.4023 0.7920 0.8328
0.4209 0.1287 0.5768
0.4209 0.8713 0.0768
0.5791 0.1287 0.9232
0.5791 0.8713 0.4232
0.5977 0.2080 0.1672
0.5977 0.7920 0.6672
0.6414 0.0036 0.1337
0.6414 0.9964 0.6337
0.6546 0.3674 0.6957
0.6546 0.6326 0.1957
0.6746 0.4539 0.4447
0.6746 0.5461 0.9447
0.7141 0.2435 0.4811
0.7141 0.7565 0.9811
0.7859 0.2565 0.9811
0.7859 0.7435 0.4811
0.8254 0.0461 0.9447
0.8254 0.9539 0.4447
0.8454 0.1326 0.1957
0.8454 0.8674 0.6957
0.8586 0.4964 0.6337
0.8586 0.5036 0.1337
0.9023 0.2920 0.6672
0.9023 0.7080 0.1672
0.9209 0.3713 0.4232
0.9209 0.6287 0.9232
0.0858 0.0712 0.8332
0.0858 0.9288 0.3332
0.4142 0.4288 0.3332
0.4142 0.5712 0.8332
0.5858 0.4288 0.1668
0.5858 0.5712 0.6668
0.9142 0.0712 0.6668
0.9142 0.9288 0.1668
```

Summary:
calculated formation energy	-103.15	kJ/mol of atoms
SG	Pbcn, No. 60

Density functional theory data (PBE) for CrMo after structural relaxation.

POSCAR file:
```
CrMo
1.0
1.5239 -2.1735 0.0000
1.5239 2.1735 0.0000
0.0000 0.0000 4.2206
Cr Mo
1 1
Direct
0.0000 0.0000 0.0000
0.5000 0.5000 0.5000
```

Summary:
calculated formation energy	11.22	kJ/mol of atoms
SG	Cmmm, No. 65

Density functional theory data (PBE) for PbCl2 after structural relaxation.

POSCAR file:
```
PbCl2
1.0
6.8152 0.0000 0.0000
0.0000 6.8152 0.0000
0.0000 0.0000 4.4817
Pb Cl
2 4
Direct
0.0000 0.0000 0.0000
0.5000 0.5000 0.5000
0.1968 0.1968 0.5000
0.3032 0.6968 0.0000
0.6968 0.3032 0.0000
0.8032 0.8032 0.5000
```

Summary:
calculated formation energy	-150.61	kJ/mol of atoms
SG	P4_2/mnm, No. 136